No. 1
## Li4Mn3P4H2O16 (r²SCAN)

Data for an optimized crystal structure of Li4Mn3P4H2O16.

Values from the calculation:
Total moment ... 30.00 Bohr magnetons per cell
Volume ... 659 Å³/cell
Calculated total energy ... -8.9222 eV/atom

a = 9.307 Å, b = 9.387 Å, c = 8.385 Å
α = 90.00°, β = 115.96°, γ = 90.00°
Space group P2_1/c (No. 14)
Inequivalent atoms, fractional coordinates:
Li1 0.045 0.141 0.086 (multiplicity 4)
Li2 0.303 0.523 0.208 (multiplicity 4)
Mn1 0.381 0.631 0.601 (multiplicity 4)
Mn2 0.500 0.000 0.500 (multiplicity 2)
P1 0.167 0.680 0.807 (multiplicity 4)
P2 0.373 0.182 0.067 (multiplicity 4)
H1 0.095 0.200 0.837 (multiplicity 4)
O1 0.005 0.196 0.704 (multiplicity 4)
O2 0.151 0.611 0.633 (multiplicity 4)
O3 0.197 0.208 0.016 (multiplicity 4)
O4 0.240 0.670 0.331 (multiplicity 4)
O5 0.267 0.589 0.969 (multiplicity 4)
O6 0.392 0.121 0.908 (multiplicity 4)
O7 0.443 0.075 0.223 (multiplicity 4)
O8 0.469 0.179 0.628 (multiplicity 4)

***

No. 2
## Li7H5N4 (r²SCAN)

Data for an optimized crystal structure of Li7H5N4.

Values from the calculation:
Total moment ... 0.00 Bohr magnetons per cell
Volume ... 518 Å³/cell
Calculated total energy ... -5.0080 eV/atom

a = 7.059 Å, b = 10.398 Å, c = 7.060 Å
α = 90.00°, β = 90.00°, γ = 90.00°
Space group Pna2_1 (No. 33)
Inequivalent atoms, fractional coordinates:
Li1 0.002 0.114 0.000 (multiplicity 4)
Li2 0.008 0.892 0.924 (multiplicity 4)
Li3 0.053 0.646 0.468 (multiplicity 4)
Li4 0.199 0.908 0.215 (multiplicity 4)
Li5 0.205 0.087 0.707 (multiplicity 4)
Li6 0.234 0.355 0.176 (multiplicity 4)
Li7 0.246 0.630 0.730 (multiplicity 4)
H1 0.003 0.294 0.327 (multiplicity 4)
H2 0.017 0.707 0.117 (multiplicity 4)
H3 0.125 0.261 0.788 (multiplicity 4)
H4 0.131 0.523 0.963 (multiplicity 4)
H5 0.154 0.453 0.454 (multiplicity 4)
N1 0.002 0.767 0.230 (multiplicity 4)
N2 0.008 0.758 0.704 (multiplicity 4)
N3 0.229 0.994 0.463 (multiplicity 4)
N4 0.232 0.013 0.972 (multiplicity 4)

***

No. 3
## Li15H9N8 (r²SCAN)

Data for an optimized crystal structure of Li15H9N8.

Values from the calculation:
Total moment ... 0.00 Bohr magnetons per cell
Volume ... 501 Å³/cell
Calculated total energy ... -4.9812 eV/atom

a = 7.017 Å, b = 10.157 Å, c = 7.030 Å
α = 90.00°, β = 91.35°, γ = 90.00°
Space group Pc (No. 7)
Inequivalent atoms, fractional coordinates:
Li1 0.000 0.106 0.000 (multiplicity 2)
Li2 0.235 0.111 0.724 (multiplicity 2)
Li3 0.243 0.372 0.196 (multiplicity 2)
Li4 0.247 0.247 0.478 (multiplicity 2)
Li5 0.258 0.121 0.204 (multiplicity 2)
Li6 0.281 0.404 0.708 (multiplicity 2)
Li7 0.492 0.384 0.971 (multiplicity 2)
Li8 0.504 0.386 0.430 (multiplicity 2)
Li9 0.536 0.144 0.461 (multiplicity 2)
Li10 0.685 0.406 0.701 (multiplicity 2)
Li11 0.736 0.134 0.202 (multiplicity 2)
Li12 0.744 0.367 0.211 (multiplicity 2)
Li13 0.788 0.095 0.712 (multiplicity 2)
Li14 0.986 0.387 0.441 (multiplicity 2)
Li15 0.990 0.112 0.421 (multiplicity 2)
H1 0.014 0.298 0.792 (multiplicity 2)
H2 0.137 0.454 0.943 (multiplicity 2)
H3 0.367 0.024 0.967 (multiplicity 2)
H4 0.477 0.207 0.091 (multiplicity 2)
H5 0.517 0.204 0.786 (multiplicity 2)
H6 0.638 0.047 0.945 (multiplicity 2)
H7 0.842 0.435 0.952 (multiplicity 2)
H8 0.872 0.263 0.620 (multiplicity 2)
H9 0.996 0.298 0.097 (multiplicity 2)
N1 0.001 0.244 0.221 (multiplicity 2)
N2 0.005 0.239 0.674 (multiplicity 2)
N3 0.231 0.015 0.461 (multiplicity 2)
N4 0.255 0.486 0.450 (multiplicity 2)
N5 0.476 0.268 0.678 (multiplicity 2)
N6 0.491 0.256 0.219 (multiplicity 2)
N7 0.733 0.496 0.452 (multiplicity 2)
N8 0.761 0.007 0.457 (multiplicity 2)

***

No. 4
## LiH3O2 (r²SCAN)

Data for an optimized crystal structure of LiH3O2.

Values from the calculation:
Total moment ... 0.00 Bohr magnetons per cell
Volume ... 88 Å³/cell
Calculated total energy ... -5.4929 eV/atom

a = 3.128 Å, b = 5.501 Å, c = 5.509 Å
α = 96.15°, β = 103.63°, γ = 103.24°
Space group P-1 (No. 2)
Inequivalent atoms, fractional coordinates:
Li1 0.001 0.152 0.346 (multiplicity 2)
H1 0.183 0.764 0.269 (multiplicity 2)
H2 0.358 0.256 0.017 (multiplicity 2)
H3 0.360 0.518 0.755 (multiplicity 2)
O1 0.109 0.215 0.713 (multiplicity 2)
O2 0.499 0.294 0.206 (multiplicity 2)